[1]
# B2Pb2O5

A relaxed structure of B2Pb2O5 (meta-GGA r2SCAN, the Materials Project database).

Uncorrected energy ... -527.18 eV/cell
Symmetry ... No. 1
E_form ... -2067 meV/atom

POSCAR file:
```
B2Pb2O5
1.0
-4.221 -5.424 1.307
2.516 -3.097 6.033
-4.762 2.698 5.608
O B Pb
15 6 6
Cartesian
-7.733 -3.710 7.317
-6.733 -3.305 9.492
-2.348 -1.275 2.985
-1.307 -2.192 0.997
-3.544 -3.219 5.357
-4.390 -3.608 9.804
-0.126 -0.617 2.393
-2.023 0.673 4.372
-6.287 -2.360 5.891
-4.092 -0.593 4.518
0.491 -3.015 7.014
-5.325 -3.743 7.616
-3.072 -4.215 2.747
-1.152 -2.393 8.613
-1.332 -1.604 6.365
-6.448 -3.610 6.626
-3.022 -0.137 3.622
-1.432 -1.001 1.833
-0.672 -2.326 7.310
-5.472 -3.569 8.982
-3.125 -5.655 2.977
-4.076 -5.407 6.054
-0.586 -6.592 6.615
-5.269 -2.559 3.845
-2.948 -1.781 10.561
-3.685 -1.337 6.702
-1.644 -3.207 4.172
```



[2]
# B10Pb6O21

A relaxed structure of B10Pb6O21 (meta-GGA r2SCAN, the Materials Project database).

Uncorrected energy ... -618.88 eV/cell
Symmetry ... No. 2
E_form ... -2224 meV/atom

POSCAR file:
```
B10Pb6O21
1.0
-2.114 6.277 1.717
-1.699 1.304 6.673
9.590 4.826 2.967
O B Pb
21 10 6
Cartesian
3.015 8.285 6.842
2.248 6.073 7.373
-0.283 4.964 5.926
3.530 6.334 3.984
6.060 7.443 5.431
2.762 4.122 4.515
1.274 3.129 6.193
0.000 0.000 0.000
6.674 8.123 9.694
1.723 2.653 1.366
4.551 6.447 7.066
-0.169 8.141 5.982
1.227 5.960 4.292
0.448 3.720 4.026
-1.076 5.573 3.713
4.054 9.754 9.991
5.946 4.266 5.375
6.854 6.834 7.645
5.329 8.687 7.332
-0.897 4.283 1.663
4.504 9.278 5.164
-1.350 5.346 2.381
2.541 5.470 4.268
1.591 3.179 4.739
7.127 7.061 8.976
5.452 8.433 4.648
3.237 6.937 7.089
0.038 5.035 4.455
5.740 7.371 6.902
0.326 3.974 6.709
4.187 9.228 6.618
-0.355 2.154 2.374
6.132 10.253 8.984
1.496 8.367 4.479
0.037 6.683 7.757
4.282 4.040 6.879
5.741 5.724 3.600
```



Across the entries above, magnetic moment takes the values 0.000 0.000 μB/cell, respectively.